No. 1
The following is a DFT calculation (GGA-PBE) of ZrH32C10IN5 after structural relaxation.

SG   Pbca (61)
DFT formation energy   -0.25 eV/atom
Magnetic moment   0.0 μB per formula unit
Total energy   -0.1972 Ha/atom

The structure in CIF format:
```
data_ZrH32C10IN5
_chemical_formula_sum 'Zr8 H256 C80 I8 N40'
_cell_length_a 14.988
_cell_length_b 16.311
_cell_length_c 17.766
_cell_angle_alpha 90.00
_cell_angle_beta 90.00
_cell_angle_gamma 90.00
_symmetry_space_group_name_H-M 'P 1'
_symmetry_Int_Tables_number 1
loop_
_symmetry_equiv_pos_as_xyz
'x,y,z'
loop_
_atom_site_label
_atom_site_fract_x
_atom_site_fract_y
_atom_site_fract_z
Zr1 0.885 0.741 0.917
Zr2 0.385 0.759 0.083
Zr3 0.115 0.241 0.583
Zr4 0.615 0.259 0.417
Zr5 0.115 0.259 0.083
Zr6 0.615 0.241 0.917
Zr7 0.885 0.759 0.417
Zr8 0.385 0.741 0.583
H1 0.946 0.650 0.077
H2 0.446 0.850 0.923
H3 0.054 0.150 0.423
H4 0.554 0.350 0.577
H5 0.054 0.350 0.923
H6 0.554 0.150 0.077
H7 0.946 0.850 0.577
H8 0.446 0.650 0.423
H9 0.976 0.574 0.009
H10 0.476 0.926 0.991
H11 0.024 0.074 0.491
H12 0.524 0.426 0.509
H13 0.024 0.426 0.991
H14 0.524 0.074 0.009
H15 0.976 0.926 0.509
H16 0.476 0.574 0.491
H17 0.901 0.548 0.084
H18 0.401 0.952 0.916
H19 0.099 0.048 0.416
H20 0.599 0.452 0.584
H21 0.099 0.452 0.916
H22 0.599 0.048 0.084
H23 0.901 0.952 0.584
H24 0.401 0.548 0.416
H25 0.753 0.570 0.921
H26 0.253 0.930 0.079
H27 0.247 0.070 0.579
H28 0.747 0.430 0.421
H29 0.247 0.430 0.079
H30 0.747 0.070 0.921
H31 0.753 0.930 0.421
H32 0.253 0.570 0.579
H33 0.790 0.503 0.994
H34 0.290 0.997 0.006
H35 0.210 0.003 0.506
H36 0.710 0.497 0.494
H37 0.210 0.497 0.006
H38 0.710 0.003 0.994
H39 0.790 0.997 0.494
H40 0.290 0.503 0.506
H41 0.863 0.528 0.917
H42 0.363 0.972 0.083
H43 0.137 0.028 0.583
H44 0.637 0.472 0.417
H45 0.137 0.472 0.083
H46 0.637 0.028 0.917
H47 0.863 0.972 0.417
H48 0.363 0.528 0.583
H49 0.891 0.949 0.916
H50 0.391 0.551 0.084
H51 0.109 0.449 0.584
H52 0.609 0.051 0.416
H53 0.109 0.051 0.084
H54 0.609 0.449 0.916
H55 0.891 0.551 0.416
H56 0.391 0.949 0.584
H57 0.826 0.932 0.833
H58 0.326 0.568 0.167
H59 0.174 0.432 0.667
H60 0.674 0.068 0.333
H61 0.174 0.068 0.167
H62 0.674 0.432 0.833
H63 0.826 0.568 0.333
H64 0.326 0.932 0.667
H65 0.928 0.987 0.827
H66 0.428 0.513 0.173
H67 0.072 0.487 0.673
H68 0.572 0.013 0.327
H69 0.072 0.013 0.173
H70 0.572 0.487 0.827
H71 0.928 0.513 0.327
H72 0.428 0.987 0.673
H73 0.983 0.785 0.751
H74 0.483 0.715 0.249
H75 0.017 0.285 0.749
H76 0.517 0.215 0.251
H77 0.017 0.215 0.249
H78 0.517 0.285 0.751
H79 0.983 0.715 0.251
H80 0.483 0.785 0.749
H81 0.980 0.892 0.732
H82 0.480 0.608 0.268
H83 0.020 0.392 0.768
H84 0.520 0.108 0.232
H85 0.020 0.108 0.268
H86 0.520 0.392 0.732
H87 0.980 0.608 0.232
H88 0.480 0.892 0.768
H89 0.878 0.837 0.737
H90 0.378 0.663 0.263
H91 0.122 0.337 0.763
H92 0.622 0.163 0.237
H93 0.122 0.163 0.263
H94 0.622 0.337 0.737
H95 0.878 0.663 0.237
H96 0.378 0.837 0.763
H97 0.792 0.661 0.788
H98 0.292 0.839 0.212
H99 0.208 0.161 0.712
H100 0.708 0.339 0.288
H101 0.208 0.339 0.212
H102 0.708 0.161 0.788
H103 0.792 0.839 0.288
H104 0.292 0.661 0.712
H105 0.723 0.743 0.755
H106 0.223 0.757 0.245
H107 0.277 0.243 0.745
H108 0.777 0.257 0.255
H109 0.277 0.257 0.245
H110 0.777 0.243 0.755
H111 0.723 0.757 0.255
H112 0.223 0.743 0.745
H113 0.678 0.665 0.815
H114 0.178 0.835 0.185
H115 0.322 0.165 0.685
H116 0.822 0.335 0.315
H117 0.322 0.335 0.185
H118 0.822 0.165 0.815
H119 0.678 0.835 0.315
H120 0.178 0.665 0.685
H121 0.699 0.842 0.939
H122 0.199 0.658 0.061
H123 0.301 0.342 0.561
H124 0.801 0.158 0.439
H125 0.301 0.158 0.061
H126 0.801 0.342 0.939
H127 0.699 0.658 0.439
H128 0.199 0.842 0.561
H129 0.624 0.768 0.900
H130 0.124 0.732 0.100
H131 0.376 0.268 0.600
H132 0.876 0.232 0.400
H133 0.376 0.232 0.100
H134 0.876 0.268 0.900
H135 0.624 0.732 0.400
H136 0.124 0.768 0.600
H137 0.670 0.846 0.841
H138 0.170 0.654 0.159
H139 0.330 0.346 0.659
H140 0.830 0.154 0.341
H141 0.330 0.154 0.159
H142 0.830 0.346 0.841
H143 0.670 0.654 0.341
H144 0.170 0.846 0.659
H145 0.073 0.728 0.942
H146 0.573 0.772 0.058
H147 0.927 0.228 0.558
H148 0.427 0.272 0.442
H149 0.927 0.272 0.058
H150 0.427 0.228 0.942
H151 0.073 0.772 0.442
H152 0.573 0.728 0.558
H153 0.116 0.711 0.849
H154 0.616 0.789 0.151
H155 0.884 0.211 0.651
H156 0.384 0.289 0.349
H157 0.884 0.289 0.151
H158 0.384 0.211 0.849
H159 0.116 0.789 0.349
H160 0.616 0.711 0.651
H161 0.103 0.627 0.913
H162 0.603 0.873 0.087
H163 0.897 0.127 0.587
H164 0.397 0.373 0.413
H165 0.897 0.373 0.087
H166 0.397 0.127 0.913
H167 0.103 0.873 0.413
H168 0.603 0.627 0.587
H169 0.918 0.598 0.783
H170 0.418 0.902 0.217
H171 0.082 0.098 0.717
H172 0.582 0.402 0.283
H173 0.082 0.402 0.217
H174 0.582 0.098 0.783
H175 0.918 0.902 0.283
H176 0.418 0.598 0.717
H177 0.015 0.554 0.824
H178 0.515 0.946 0.176
H179 0.985 0.054 0.676
H180 0.485 0.446 0.324
H181 0.985 0.446 0.176
H182 0.485 0.054 0.824
H183 0.015 0.946 0.324
H184 0.515 0.554 0.676
H185 0.026 0.635 0.758
H186 0.526 0.865 0.242
H187 0.974 0.135 0.742
H188 0.474 0.365 0.258
H189 0.974 0.365 0.242
H190 0.474 0.135 0.758
H191 0.026 0.865 0.258
H192 0.526 0.635 0.742
H193 0.778 0.780 0.047
H194 0.278 0.720 0.953
H195 0.222 0.280 0.453
H196 0.722 0.220 0.547
H197 0.222 0.220 0.953
H198 0.722 0.280 0.047
H199 0.778 0.720 0.547
H200 0.278 0.780 0.453
H201 0.813 0.882 0.071
H202 0.313 0.618 0.929
H203 0.187 0.382 0.429
H204 0.687 0.118 0.571
H205 0.187 0.118 0.929
H206 0.687 0.382 0.071
H207 0.813 0.618 0.571
H208 0.313 0.882 0.429
H209 0.856 0.796 0.120
H210 0.356 0.704 0.880
H211 0.144 0.296 0.380
H212 0.644 0.204 0.620
H213 0.144 0.204 0.880
H214 0.644 0.296 0.120
H215 0.856 0.704 0.620
H216 0.356 0.796 0.380
H217 0.041 0.859 0.999
H218 0.541 0.641 0.001
H219 0.959 0.359 0.501
H220 0.459 0.141 0.499
H221 0.959 0.141 0.001
H222 0.459 0.359 0.999
H223 0.041 0.641 0.499
H224 0.541 0.859 0.501
H225 0.006 0.841 0.094
H226 0.506 0.659 0.906
H227 0.994 0.341 0.406
H228 0.494 0.159 0.594
H229 0.994 0.159 0.906
H230 0.494 0.341 0.094
H231 0.006 0.659 0.594
H232 0.506 0.841 0.406
H233 0.962 0.926 0.044
H234 0.462 0.574 0.956
H235 0.038 0.426 0.456
H236 0.538 0.074 0.544
H237 0.038 0.074 0.956
H238 0.538 0.426 0.044
H239 0.962 0.574 0.544
H240 0.462 0.926 0.456
H241 0.795 0.638 0.035
H242 0.295 0.862 0.965
H243 0.205 0.138 0.465
H244 0.705 0.362 0.535
H245 0.205 0.362 0.965
H246 0.705 0.138 0.035
H247 0.795 0.862 0.535
H248 0.295 0.638 0.465
H249 0.007 0.868 0.859
H250 0.507 0.632 0.141
H251 0.993 0.368 0.641
H252 0.493 0.132 0.359
H253 0.993 0.132 0.141
H254 0.493 0.368 0.859
H255 0.007 0.632 0.359
H256 0.507 0.868 0.641
C1 0.922 0.597 0.045
C2 0.422 0.903 0.955
C3 0.078 0.097 0.455
C4 0.578 0.403 0.545
C5 0.078 0.403 0.955
C6 0.578 0.097 0.045
C7 0.922 0.903 0.545
C8 0.422 0.597 0.455
C9 0.811 0.552 0.955
C10 0.311 0.948 0.045
C11 0.189 0.052 0.545
C12 0.689 0.448 0.455
C13 0.189 0.448 0.045
C14 0.689 0.052 0.955
C15 0.811 0.948 0.455
C16 0.311 0.552 0.545
C17 0.894 0.936 0.856
C18 0.394 0.564 0.144
C19 0.106 0.436 0.644
C20 0.606 0.064 0.356
C21 0.106 0.064 0.144
C22 0.606 0.436 0.856
C23 0.894 0.564 0.356
C24 0.394 0.936 0.644
C25 0.946 0.842 0.761
C26 0.446 0.658 0.239
C27 0.054 0.342 0.739
C28 0.554 0.158 0.261
C29 0.054 0.158 0.239
C30 0.554 0.342 0.761
C31 0.946 0.658 0.261
C32 0.446 0.842 0.739
C33 0.738 0.703 0.804
C34 0.238 0.797 0.196
C35 0.262 0.203 0.696
C36 0.762 0.297 0.304
C37 0.262 0.297 0.196
C38 0.762 0.203 0.804
C39 0.738 0.797 0.304
C40 0.238 0.703 0.696
C41 0.685 0.804 0.889
C42 0.185 0.696 0.111
C43 0.315 0.304 0.611
C44 0.815 0.196 0.389
C45 0.315 0.196 0.111
C46 0.815 0.304 0.889
C47 0.685 0.696 0.389
C48 0.185 0.804 0.611
C49 0.072 0.685 0.894
C50 0.572 0.815 0.106
C51 0.928 0.185 0.606
C52 0.428 0.315 0.394
C53 0.928 0.315 0.106
C54 0.428 0.185 0.894
C55 0.072 0.815 0.394
C56 0.572 0.685 0.606
C57 0.984 0.612 0.805
C58 0.484 0.888 0.195
C59 0.016 0.112 0.695
C60 0.516 0.388 0.305
C61 0.016 0.388 0.195
C62 0.516 0.112 0.805
C63 0.984 0.888 0.305
C64 0.484 0.612 0.695
C65 0.835 0.818 0.064
C66 0.335 0.682 0.936
C67 0.165 0.318 0.436
C68 0.665 0.182 0.564
C69 0.165 0.182 0.936
C70 0.665 0.318 0.064
C71 0.835 0.682 0.564
C72 0.335 0.818 0.436
C73 0.983 0.861 0.037
C74 0.483 0.639 0.963
C75 0.017 0.361 0.463
C76 0.517 0.139 0.537
C77 0.017 0.139 0.963
C78 0.517 0.361 0.037
C79 0.983 0.639 0.537
C80 0.483 0.861 0.463
I1 0.184 0.924 0.844
I2 0.684 0.576 0.156
I3 0.816 0.424 0.656
I4 0.316 0.076 0.344
I5 0.816 0.076 0.156
I6 0.316 0.424 0.844
I7 0.184 0.576 0.344
I8 0.684 0.924 0.656
N1 0.846 0.623 0.997
N2 0.346 0.877 0.003
N3 0.154 0.123 0.503
N4 0.654 0.377 0.497
N5 0.154 0.377 0.003
N6 0.654 0.123 0.997
N7 0.846 0.877 0.497
N8 0.346 0.623 0.503
N9 0.941 0.858 0.843
N10 0.441 0.642 0.157
N11 0.059 0.358 0.657
N12 0.559 0.142 0.343
N13 0.059 0.142 0.157
N14 0.559 0.358 0.843
N15 0.941 0.642 0.343
N16 0.441 0.858 0.657
N17 0.760 0.751 0.870
N18 0.260 0.749 0.130
N19 0.240 0.251 0.630
N20 0.740 0.249 0.370
N21 0.240 0.249 0.130
N22 0.740 0.251 0.870
N23 0.760 0.749 0.370
N24 0.260 0.751 0.630
N25 0.982 0.670 0.866
N26 0.482 0.830 0.134
N27 0.018 0.170 0.634
N28 0.518 0.330 0.366
N29 0.018 0.330 0.134
N30 0.518 0.170 0.866
N31 0.982 0.830 0.366
N32 0.482 0.670 0.634
N33 0.909 0.811 0.011
N34 0.409 0.689 0.989
N35 0.091 0.311 0.489
N36 0.591 0.189 0.511
N37 0.091 0.189 0.989
N38 0.591 0.311 0.011
N39 0.909 0.689 0.511
N40 0.409 0.811 0.489
```



No. 2
The following is a DFT calculation (GGA-PBE) of CeAs2Pd3 after structural relaxation.

SG   C2/m (12)
DFT formation energy   -0.81 eV/atom
Total energy   -0.2182 Ha/atom

The structure in CIF format:
```
data_CeAs2Pd3
_chemical_formula_sum 'Ce3 As6 Pd9'
_cell_length_a 8.653
_cell_length_b 8.653
_cell_length_c 10.097
_cell_angle_alpha 72.70
_cell_angle_beta 72.70
_cell_angle_gamma 27.73
_symmetry_space_group_name_H-M 'P 1'
_symmetry_Int_Tables_number 1
loop_
_symmetry_equiv_pos_as_xyz
'x,y,z'
loop_
_atom_site_label
_atom_site_fract_x
_atom_site_fract_y
_atom_site_fract_z
Ce1 0.156 0.156 0.298
Ce2 0.844 0.844 0.702
Ce3 0.000 0.000 0.000
As1 0.801 0.801 0.129
As2 0.637 0.637 0.544
As3 0.363 0.363 0.456
As4 0.199 0.199 0.871
As5 0.538 0.538 0.213
As6 0.462 0.462 0.787
Pd1 0.043 0.043 0.666
Pd2 0.322 0.322 0.967
Pd3 0.678 0.678 0.033
Pd4 0.780 0.780 0.392
Pd5 0.374 0.374 0.204
Pd6 0.957 0.957 0.334
Pd7 0.220 0.220 0.608
Pd8 0.500 0.500 0.500
Pd9 0.626 0.626 0.796
```



No. 3
The following is a DFT calculation (GGA-PBE) of CeCo9Si4 after structural relaxation.

SG   I4/mcm (140)
DFT formation energy   -0.47 eV/atom
Magnetic moment   5.0 μB per formula unit
Total energy   -0.2584 Ha/atom

The structure in CIF format:
```
data_CeCo9Si4
_chemical_formula_sum 'Ce2 Co18 Si8'
_cell_length_a 7.919
_cell_length_b 7.919
_cell_length_c 7.919
_cell_angle_alpha 121.56
_cell_angle_beta 121.56
_cell_angle_gamma 87.32
_symmetry_space_group_name_H-M 'P 1'
_symmetry_Int_Tables_number 1
loop_
_symmetry_equiv_pos_as_xyz
'x,y,z'
loop_
_atom_site_label
_atom_site_fract_x
_atom_site_fract_y
_atom_site_fract_z
Ce1 0.750 0.750 0.000
Ce2 0.250 0.250 0.000
Co1 0.069 0.200 0.269
Co2 0.931 0.800 0.731
Co3 0.569 0.300 0.870
Co4 0.431 0.700 0.130
Co5 0.800 0.069 0.870
Co6 0.200 0.931 0.130
Co7 0.700 0.569 0.269
Co8 0.300 0.431 0.731
Co9 0.449 0.949 0.759
Co10 0.190 0.690 0.241
Co11 0.949 0.190 0.500
Co12 0.690 0.449 0.500
Co13 0.551 0.051 0.241
Co14 0.810 0.310 0.759
Co15 0.051 0.810 0.500
Co16 0.310 0.551 0.500
Co17 0.000 0.500 0.500
Co18 0.500 0.000 0.500
Si1 0.049 0.549 0.839
Si2 0.709 0.209 0.161
Si3 0.549 0.709 0.500
Si4 0.209 0.049 0.500
Si5 0.951 0.451 0.161
Si6 0.291 0.791 0.839
Si7 0.451 0.291 0.500
Si8 0.791 0.951 0.500
```